# 1
HfNbB4 | r²SCAN | optimized geometry

Computed properties:
The formation energy is -892.2 meV/atom. The uncorrected energy is -104.624 eV per cell. For the distance to the lowest polymorph of the same formula, the calculation gives 8 meV per atom. As for the symmetry: P6/mmm (191). For the magnetization, the calculation gives 0.00 μB/cell.

```
data_HfNbB4
_chemical_formula_sum 'Hf1 Nb1 B4'
_cell_length_a 3.1235
_cell_length_b 3.1235
_cell_length_c 6.8115
_cell_angle_alpha 90.00
_cell_angle_beta 90.00
_cell_angle_gamma 120.00
_space_group_name_H-M_alt 'P 1'
_space_group_IT_number 1
loop_
_space_group_symop_operation_xyz
'x,y,z'
loop_
_atom_site_label
_atom_site_fract_x
_atom_site_fract_y
_atom_site_fract_z
Hf1 0.0000 0.0000 0.0000
Nb1 0.0000 0.0000 0.5000
B1 0.3333 0.6667 0.2531
B2 0.3333 0.6667 0.7469
B3 0.6667 0.3333 0.2531
B4 0.6667 0.3333 0.7469
```

=====

# 2
HfNbB4 | r²SCAN | optimized geometry

Computed properties:
The formation energy is -900.5 meV/atom. The uncorrected energy is -209.348 eV per cell. For the distance to the lowest polymorph of the same formula, the calculation gives 0 meV per atom. As for the symmetry: Immm (71). For the magnetization, the calculation gives 0.00 μB/cell.

```
data_HfNbB4
_chemical_formula_sum 'Hf2 Nb2 B8'
_cell_length_a 3.1276
_cell_length_b 5.3996
_cell_length_c 6.8111
_cell_angle_alpha 90.00
_cell_angle_beta 90.00
_cell_angle_gamma 90.00
_space_group_name_H-M_alt 'P 1'
_space_group_IT_number 1
loop_
_space_group_symop_operation_xyz
'x,y,z'
loop_
_atom_site_label
_atom_site_fract_x
_atom_site_fract_y
_atom_site_fract_z
Hf1 0.0000 0.0000 0.0000
Hf2 0.5000 0.5000 0.5000
Nb1 0.0000 0.0000 0.5000
Nb2 0.5000 0.5000 0.0000
B1 0.0000 0.3339 0.2502
B2 0.0000 0.3339 0.7498
B3 0.0000 0.6661 0.2502
B4 0.0000 0.6661 0.7498
B5 0.5000 0.1661 0.2498
B6 0.5000 0.1661 0.7502
B7 0.5000 0.8339 0.2498
B8 0.5000 0.8339 0.7502
```

=====

# 3
HfB2O5 | r²SCAN | optimized geometry

Computed properties:
The formation energy is -3082.6 meV/atom. The uncorrected energy is -457.471 eV per cell. As for the symmetry: P2_1/c (14). For the magnetization, the calculation gives 0.00 μB/cell.

```
data_HfB2O5
_chemical_formula_sum 'Hf4 B8 O20'
_cell_length_a 4.3728
_cell_length_b 6.8892
_cell_length_c 8.9593
_cell_angle_alpha 90.00
_cell_angle_beta 90.62
_cell_angle_gamma 90.00
_space_group_name_H-M_alt 'P 1'
_space_group_IT_number 1
loop_
_space_group_symop_operation_xyz
'x,y,z'
loop_
_atom_site_label
_atom_site_fract_x
_atom_site_fract_y
_atom_site_fract_z
Hf1 0.0008 0.1119 0.1705
Hf2 0.0008 0.3881 0.6705
Hf3 0.9992 0.6119 0.3295
Hf4 0.9992 0.8881 0.8295
B1 0.4640 0.0869 0.6668
B2 0.4640 0.4131 0.1668
B3 0.4731 0.7287 0.5762
B4 0.4731 0.7713 0.0762
B5 0.5269 0.2287 0.9238
B6 0.5269 0.2713 0.4238
B7 0.5360 0.5869 0.8332
B8 0.5360 0.9131 0.3332
O1 0.2123 0.5904 0.8201
O2 0.2123 0.9096 0.3201
O3 0.2306 0.5965 0.5317
O4 0.2306 0.9035 0.0317
O5 0.3034 0.1550 0.8086
O6 0.3034 0.3450 0.3086
O7 0.3290 0.6052 0.1508
O8 0.3290 0.8948 0.6508
O9 0.3464 0.2224 0.5553
O10 0.3464 0.2776 0.0553
O11 0.6536 0.7224 0.9447
O12 0.6536 0.7776 0.4447
O13 0.6710 0.1052 0.3492
O14 0.6710 0.3948 0.8492
O15 0.6966 0.6550 0.6914
O16 0.6966 0.8450 0.1914
O17 0.7694 0.0965 0.9683
O18 0.7694 0.4035 0.4683
O19 0.7877 0.0904 0.6799
O20 0.7877 0.4096 0.1799
```

=====

# 4
HfTiB4 | r²SCAN | optimized geometry

Computed properties:
The formation energy is -1079.2 meV/atom. The uncorrected energy is -93.950 eV per cell. As for the symmetry: P6/mmm (191). For the magnetization, the calculation gives 0.00 μB/cell.

```
data_HfTiB4
_chemical_formula_sum 'Hf1 Ti1 B4'
_cell_length_a 3.0836
_cell_length_b 3.0836
_cell_length_c 6.7056
_cell_angle_alpha 90.00
_cell_angle_beta 90.00
_cell_angle_gamma 120.00
_space_group_name_H-M_alt 'P 1'
_space_group_IT_number 1
loop_
_space_group_symop_operation_xyz
'x,y,z'
loop_
_atom_site_label
_atom_site_fract_x
_atom_site_fract_y
_atom_site_fract_z
Hf1 0.0000 0.0000 0.0000
Ti1 0.0000 0.0000 0.5000
B1 0.3333 0.6667 0.2623
B2 0.3333 0.6667 0.7377
B3 0.6667 0.3333 0.2623
B4 0.6667 0.3333 0.7377
```

=====

# 5
HgB4O7 | r²SCAN | optimized geometry

Computed properties:
The formation energy is -2226.2 meV/atom. The uncorrected energy is -1178.199 eV per cell. As for the symmetry: Pbca (61). For the magnetization, the calculation gives 0.00 μB/cell.

```
data_HgB4O7
_chemical_formula_sum 'Hg8 B32 O56'
_cell_length_a 8.4221
_cell_length_b 8.8070
_cell_length_c 14.1938
_cell_angle_alpha 90.00
_cell_angle_beta 90.00
_cell_angle_gamma 90.00
_space_group_name_H-M_alt 'P 1'
_space_group_IT_number 1
loop_
_space_group_symop_operation_xyz
'x,y,z'
loop_
_atom_site_label
_atom_site_fract_x
_atom_site_fract_y
_atom_site_fract_z
Hg1 0.1429 0.1127 0.1169
Hg2 0.1429 0.3873 0.6169
Hg3 0.3571 0.6127 0.1169
Hg4 0.3571 0.8873 0.6169
Hg5 0.6429 0.1127 0.3831
Hg6 0.6429 0.3873 0.8831
Hg7 0.8571 0.6127 0.3831
Hg8 0.8571 0.8873 0.8831
B1 0.0099 0.1719 0.7652
B2 0.0099 0.3281 0.2652
B3 0.0197 0.0631 0.3401
B4 0.0197 0.4369 0.8401
B5 0.0423 0.7180 0.5620
B6 0.0423 0.7820 0.0620
B7 0.2216 0.1513 0.4501
B8 0.2216 0.3487 0.9501
B9 0.2784 0.6513 0.4501
B10 0.2784 0.8487 0.9501
B11 0.4577 0.2180 0.5620
B12 0.4577 0.2820 0.0620
B13 0.4803 0.5631 0.3401
B14 0.4803 0.9369 0.8401
B15 0.4901 0.6719 0.7652
B16 0.4901 0.8281 0.2652
B17 0.5099 0.1719 0.7348
B18 0.5099 0.3281 0.2348
B19 0.5197 0.0631 0.1599
B20 0.5197 0.4369 0.6599
B21 0.5423 0.7180 0.9380
B22 0.5423 0.7820 0.4380
B23 0.7216 0.1513 0.0499
B24 0.7216 0.3487 0.5499
B25 0.7784 0.6513 0.0499
B26 0.7784 0.8487 0.5499
B27 0.9577 0.2180 0.9380
B28 0.9577 0.2820 0.4380
B29 0.9803 0.5631 0.1599
B30 0.9803 0.9369 0.6599
B31 0.9901 0.6719 0.7348
B32 0.9901 0.8281 0.2348
O1 0.0306 0.1729 0.2563
O2 0.0306 0.3271 0.7563
O3 0.0361 0.6181 0.6481
O4 0.0361 0.8819 0.1481
O5 0.0376 0.0833 0.6894
O6 0.0376 0.4167 0.1894
O7 0.0940 0.6318 0.0923
O8 0.0940 0.8682 0.5923
O9 0.1202 0.2328 0.9773
O10 0.1202 0.2672 0.4773
O11 0.1340 0.6376 0.4929
O12 0.1340 0.8624 0.9929
O13 0.1764 0.0536 0.3818
O14 0.1764 0.4464 0.8818
O15 0.3236 0.5536 0.3818
O16 0.3236 0.9464 0.8818
O17 0.3660 0.1376 0.4929
O18 0.3660 0.3624 0.9929
O19 0.3798 0.7328 0.9773
O20 0.3798 0.7672 0.4773
O21 0.4060 0.1318 0.0923
O22 0.4060 0.3682 0.5923
O23 0.4624 0.5833 0.6894
O24 0.4624 0.9167 0.1894
O25 0.4639 0.1181 0.6481
O26 0.4639 0.3819 0.1481
O27 0.4694 0.6729 0.2563
O28 0.4694 0.8271 0.7563
O29 0.5306 0.1729 0.2437
O30 0.5306 0.3271 0.7437
O31 0.5361 0.6181 0.8519
O32 0.5361 0.8819 0.3519
O33 0.5376 0.0833 0.8106
O34 0.5376 0.4167 0.3106
O35 0.5940 0.6318 0.4077
O36 0.5940 0.8682 0.9077
O37 0.6202 0.2328 0.5227
O38 0.6202 0.2672 0.0227
O39 0.6340 0.6376 0.0071
O40 0.6340 0.8624 0.5071
O41 0.6764 0.0536 0.1182
O42 0.6764 0.4464 0.6182
O43 0.8236 0.5536 0.1182
O44 0.8236 0.9464 0.6182
O45 0.8660 0.1376 0.0071
O46 0.8660 0.3624 0.5071
O47 0.8798 0.7328 0.5227
O48 0.8798 0.7672 0.0227
O49 0.9060 0.1318 0.4077
O50 0.9060 0.3682 0.9077
O51 0.9624 0.5833 0.8106
O52 0.9624 0.9167 0.3106
O53 0.9639 0.1181 0.8519
O54 0.9639 0.3819 0.3519
O55 0.9694 0.6729 0.2437
O56 0.9694 0.8271 0.7437
```

=====

# 6
HoB6 | r²SCAN | optimized geometry

Computed properties:
The formation energy is -439.6 meV/atom. The uncorrected energy is -80.036 eV per cell. As for the symmetry: Pm-3m (221). For the magnetization, the calculation gives 0.00 μB/cell.

```
data_HoB6
_chemical_formula_sum 'Ho1 B6'
_cell_length_a 4.0792
_cell_length_b 4.0792
_cell_length_c 4.0792
_cell_angle_alpha 90.00
_cell_angle_beta 90.00
_cell_angle_gamma 90.00
_space_group_name_H-M_alt 'P 1'
_space_group_IT_number 1
loop_
_space_group_symop_operation_xyz
'x,y,z'
loop_
_atom_site_label
_atom_site_fract_x
_atom_site_fract_y
_atom_site_fract_z
Ho1 0.0000 0.0000 0.0000
B1 0.1986 0.5000 0.5000
B2 0.5000 0.1986 0.5000
B3 0.5000 0.5000 0.1986
B4 0.5000 0.5000 0.8014
B5 0.5000 0.8014 0.5000
B6 0.8014 0.5000 0.5000
```

=====

What is the magnetization in the fourth record? 0.00 μB/cell